[1]
# Cs3Hf2P5S18

A relaxed Cs3Hf2P5S18 crystal (meta-GGA r2SCAN, Materials Project).

Cell and atoms, written as POSCAR:
```
Cs3Hf2P5S18
1.0
4.7615 -5.0157 0.0000
4.7615 5.0157 0.0000
-2.8579 0.0000 34.2562
Cs Hf P S
6 4 10 36
direct
0.1003 0.8997 0.5000
0.2760 0.5643 0.8890
0.3965 0.6179 0.7042
0.5643 0.2760 0.3890
0.6179 0.3965 0.2042
0.8997 0.1003 0.0000
0.1489 0.9685 0.2891
0.1626 0.7505 0.0995
0.7505 0.1626 0.5995
0.9685 0.1489 0.7891
0.0579 0.4228 0.3084
0.1844 0.8854 0.1939
0.2732 0.7779 0.3722
0.3689 0.8168 0.0163
0.4228 0.0579 0.8084
0.6405 0.6999 0.5806
0.6999 0.6405 0.0806
0.7779 0.2732 0.8722
0.8168 0.3689 0.5163
0.8854 0.1844 0.6939
0.0001 0.9628 0.7227
0.0061 0.3676 0.5636
0.0423 0.2632 0.6485
0.0774 0.9805 0.3627
0.1046 0.5030 0.3687
0.1129 0.6167 0.1682
0.1422 0.6311 0.0259
0.2030 0.8529 0.8034
0.2632 0.0423 0.1485
0.3080 0.3142 0.2902
0.3142 0.3080 0.7902
0.3676 0.0061 0.0636
0.3813 0.9308 0.9655
0.3993 0.8867 0.2373
0.4176 0.7807 0.4230
0.4307 0.7954 0.3244
0.4418 0.9007 0.5862
0.4694 0.5585 0.1111
0.5030 0.1046 0.8687
0.5585 0.4694 0.6111
0.6167 0.1129 0.6682
0.6233 0.6487 0.0201
0.6311 0.1422 0.5259
0.6400 0.9565 0.7773
0.6487 0.6233 0.5201
0.7807 0.4176 0.9230
0.7954 0.4307 0.8244
0.8310 0.9021 0.0992
0.8529 0.2030 0.3034
0.8867 0.3993 0.7373
0.9007 0.4418 0.0862
0.9021 0.8310 0.5992
0.9308 0.3813 0.4655
0.9565 0.6400 0.2773
0.9628 0.0001 0.2227
0.9805 0.0774 0.8627
```

Symmetry: Cc
Crystal system: monoclinic
E_form in meV/atom: -938
Total moment in μB/f.u.: 0.00

***

[2]
# YbNb3

A relaxed YbNb3 crystal (meta-GGA r2SCAN, Materials Project).

Cell and atoms, written as POSCAR:
```
YbNb3
1.0
6.2491 0.0000 0.0000
-3.1245 5.4119 0.0000
0.0000 0.0000 5.0109
Yb Nb
2 6
direct
0.3333 0.6667 0.2500
0.6667 0.3333 0.7500
0.1495 0.2989 0.7500
0.1495 0.8505 0.7500
0.2989 0.1495 0.2500
0.7011 0.8505 0.7500
0.8505 0.1495 0.2500
0.8505 0.7011 0.2500
```

Symmetry: P6_3/mmc
Crystal system: hexagonal
E_form in meV/atom: 289
Total moment in μB/f.u.: 0.00

***

[3]
# Li2TlPb

A relaxed Li2TlPb crystal (meta-GGA r2SCAN, Materials Project).

Cell and atoms, written as POSCAR:
```
Li2TlPb
1.0
0.0000 3.4901 3.4901
3.4901 0.0000 3.4901
3.4901 3.4901 0.0000
Li Tl Pb
2 1 1
direct
0.2500 0.2500 0.2500
0.7500 0.7500 0.7500
0.0000 0.0000 0.0000
0.5000 0.5000 0.5000
```

Symmetry: Fm-3m
Crystal system: cubic
E_form in meV/atom: -295
Total moment in μB/f.u.: 0.00

***

[4]
# CsBrF6

A relaxed CsBrF6 crystal (meta-GGA r2SCAN, Materials Project).

Cell and atoms, written as POSCAR:
```
CsBrF6
1.0
3.9181 2.2621 2.6536
-3.9181 2.2621 2.6536
0.0000 -4.5243 2.6536
Cs Br F
1 1 6
direct
0.0000 0.0000 0.0000
0.5000 0.5000 0.5000
0.2009 0.5780 0.3056
0.3056 0.2009 0.5780
0.4220 0.6944 0.7991
0.5780 0.3056 0.2009
0.6944 0.7991 0.4220
0.7991 0.4220 0.6944
```

Symmetry: R-3
Crystal system: trigonal
E_form in meV/atom: -1563
Total moment in μB/f.u.: 0.00

***

[5]
# AsPd3Pb2

A relaxed AsPd3Pb2 crystal (meta-GGA r2SCAN, Materials Project).

Cell and atoms, written as POSCAR:
```
AsPd3Pb2
1.0
6.0151 -3.4367 0.0000
6.0151 3.4367 0.0000
0.0000 0.0000 5.8529
As Pd Pb
2 6 4
direct
0.2053 0.7947 0.5000
0.7947 0.2053 0.0000
0.0750 0.1671 0.2932
0.1671 0.0750 0.7932
0.4480 0.5520 0.8158
0.5520 0.4480 0.3158
0.8329 0.9250 0.2932
0.9250 0.8329 0.7932
0.1568 0.4868 0.1053
0.4868 0.1568 0.6053
0.5132 0.8432 0.1053
0.8432 0.5132 0.6053
```

Symmetry: Cmc2_1
Crystal system: orthorhombic
E_form in meV/atom: -351
Total moment in μB/f.u.: 0.00

***

[6]
# HfTc2Mo

A relaxed HfTc2Mo crystal (meta-GGA r2SCAN, Materials Project).

Cell and atoms, written as POSCAR:
```
HfTc2Mo
1.0
0.0000 3.1713 3.1713
3.1713 0.0000 3.1713
3.1713 3.1713 0.0000
Hf Tc Mo
1 2 1
direct
0.0000 0.0000 0.0000
0.2500 0.2500 0.2500
0.7500 0.7500 0.7500
0.5000 0.5000 0.5000
```

Symmetry: Fm-3m
Crystal system: cubic
E_form in meV/atom: -346
Total moment in μB/f.u.: 0.00

***

[7]
# Ho3Ge13Os4

A relaxed Ho3Ge13Os4 crystal (meta-GGA r2SCAN, Materials Project).

Cell and atoms, written as POSCAR:
```
Ho3Ge13Os4
1.0
9.0092 0.0000 0.0000
0.0000 9.0092 0.0000
0.0000 0.0000 9.0092
Ho Ge Os
6 26 8
direct
0.0000 0.2500 0.5000
0.0000 0.7500 0.5000
0.2500 0.5000 0.0000
0.5000 0.0000 0.2500
0.5000 0.0000 0.7500
0.7500 0.5000 0.0000
0.0000 0.0000 0.0000
0.0000 0.2955 0.1437
0.0000 0.2955 0.8563
0.0000 0.7045 0.1437
0.0000 0.7045 0.8563
0.1437 0.0000 0.2955
0.1437 0.0000 0.7045
0.2045 0.5000 0.3563
0.2045 0.5000 0.6437
0.2955 0.1437 0.0000
0.2955 0.8563 0.0000
0.3563 0.2045 0.5000
0.3563 0.7955 0.5000
0.5000 0.3563 0.2045
0.5000 0.3563 0.7955
0.5000 0.5000 0.5000
0.5000 0.6437 0.2045
0.5000 0.6437 0.7955
0.6437 0.2045 0.5000
0.6437 0.7955 0.5000
0.7045 0.1437 0.0000
0.7045 0.8563 0.0000
0.7955 0.5000 0.3563
0.7955 0.5000 0.6437
0.8563 0.0000 0.2955
0.8563 0.0000 0.7045
0.2500 0.2500 0.2500
0.2500 0.2500 0.7500
0.2500 0.7500 0.2500
0.2500 0.7500 0.7500
0.7500 0.2500 0.2500
0.7500 0.2500 0.7500
0.7500 0.7500 0.2500
0.7500 0.7500 0.7500
```

Symmetry: Pm-3n
Crystal system: cubic
E_form in meV/atom: -346
Total moment in μB/f.u.: 0.00

***

[8]
# MgMn2O4

A relaxed MgMn2O4 crystal (meta-GGA r2SCAN, Materials Project).

Cell and atoms, written as POSCAR:
```
MgMn2O4
1.0
-2.8624 2.8624 4.6652
2.8624 -2.8624 4.6652
2.8624 2.8624 -4.6652
Mg Mn O
2 4 8
direct
0.3750 0.6250 0.7500
0.6250 0.3750 0.2500
0.0000 0.0000 0.0000
0.0000 0.0000 0.5000
0.0000 0.5000 0.0000
0.5000 0.0000 0.5000
0.2217 0.2459 0.9759
0.2300 0.7541 0.4759
0.2459 0.2217 0.4759
0.2459 0.7700 0.0241
0.7541 0.2300 0.9759
0.7541 0.7783 0.5241
0.7700 0.2459 0.5241
0.7783 0.7541 0.0241
```

Symmetry: I4_1/amd
Crystal system: tetragonal
E_form in meV/atom: -2388
Total moment in μB/f.u.: 8.00

***

[9]
# LaAgPb

A relaxed LaAgPb crystal (meta-GGA r2SCAN, Materials Project).

Cell and atoms, written as POSCAR:
```
LaAgPb
1.0
4.9067 0.0000 0.0000
-2.4534 4.2493 0.0000
0.0000 0.0000 7.9422
La Ag Pb
2 2 2
direct
0.0000 0.0000 0.0000
0.0000 0.0000 0.5000
0.3333 0.6667 0.3034
0.6667 0.3333 0.8034
0.3333 0.6667 0.7169
0.6667 0.3333 0.2169
```

Symmetry: P6_3mc
Crystal system: hexagonal
E_form in meV/atom: -622
Total moment in μB/f.u.: 0.00

***

[10]
# Mg5In

A relaxed Mg5In crystal (meta-GGA r2SCAN, Materials Project).

Cell and atoms, written as POSCAR:
```
Mg5In
1.0
5.7762 -1.6371 0.0000
5.7762 1.6371 0.0000
-1.9840 0.0000 7.1570
Mg In
5 1
direct
0.0000 0.0000 0.0000
0.0522 0.0522 0.6035
0.3314 0.3314 0.6661
0.6688 0.6688 0.3309
0.7203 0.7203 0.9404
0.3890 0.3890 0.2750
```

Symmetry: Cm
Crystal system: monoclinic
E_form in meV/atom: -41
Total moment in μB/f.u.: 0.00

***

[11]
# Dy2Te4O11

A relaxed Dy2Te4O11 crystal (meta-GGA r2SCAN, Materials Project).

Cell and atoms, written as POSCAR:
```
Dy2Te4O11
1.0
6.1823 -2.5565 0.0000
6.1823 2.5565 0.0000
-4.3625 0.0000 15.4694
Dy Te O
4 8 22
direct
0.1300 0.6326 0.9635
0.3674 0.8700 0.5365
0.6326 0.1300 0.4635
0.8700 0.3674 0.0365
0.0907 0.6535 0.6265
0.0987 0.6577 0.3009
0.3423 0.9013 0.1991
0.3465 0.9093 0.8735
0.6535 0.0907 0.1265
0.6577 0.0987 0.8009
0.9013 0.3423 0.6991
0.9093 0.3465 0.3735
0.0579 0.8939 0.4040
0.1061 0.9421 0.0960
0.1640 0.2518 0.9465
0.1832 0.3112 0.6271
0.2518 0.1640 0.4465
0.2965 0.4091 0.8327
0.3112 0.1832 0.1271
0.3201 0.5390 0.5450
0.3502 0.6498 0.2500
0.4091 0.2965 0.3327
0.4610 0.6799 0.9550
0.5390 0.3201 0.0450
0.5909 0.7035 0.6673
0.6498 0.3502 0.7500
0.6799 0.4610 0.4550
0.6888 0.8168 0.8729
0.7035 0.5909 0.1673
0.7482 0.8360 0.5535
0.8168 0.6888 0.3729
0.8360 0.7482 0.0535
0.8939 0.0579 0.9040
0.9421 0.1061 0.5960
```

Symmetry: C2/c
Crystal system: monoclinic
E_form in meV/atom: -2044
Total moment in μB/f.u.: 0.00

***

[12]
# Y3Mg

A relaxed Y3Mg crystal (meta-GGA r2SCAN, Materials Project).

Cell and atoms, written as POSCAR:
```
Y3Mg
1.0
-1.9415 5.7711 2.7232
1.9415 -5.7711 2.7232
1.9415 5.7711 -2.7232
Y Mg
3 1
direct
0.0000 0.0000 0.0000
0.2704 0.4949 0.7755
0.7195 0.4949 0.2245
0.5018 0.0018 0.5000
```

Symmetry: Imm2
Crystal system: orthorhombic
E_form in meV/atom: -18
Total moment in μB/f.u.: 0.00